Record 1
# K3ReMoO8

An optimized crystal structure of K3ReMoO8 (meta-GGA r2SCAN, Materials Project). Values from VASP.

Quantum ESPRESSO input file:
```
&SYSTEM
  ibrav = 0, nat = 13, ntyp = 4
/
ATOMIC_SPECIES
O 16.00 O.upf
K 39.10 K.upf
Mo 95.94 Mo.upf
Re 186.21 Re.upf
CELL_PARAMETERS angstrom
7.287 -3.012 0.033
7.287 3.012 0.033
6.020 0.000 5.093
ATOMIC_POSITIONS crystal
O 0.754 0.228 0.228
O 0.228 0.228 0.754
O 0.776 0.776 0.251
O 0.228 0.754 0.228
O 0.179 0.179 0.179
O 0.251 0.776 0.776
O 0.822 0.822 0.822
O 0.776 0.251 0.776
K 0.508 0.508 0.508
K 0.695 0.695 0.695
K 0.302 0.302 0.302
Mo 0.905 0.905 0.905
Re 0.097 0.097 0.097
```

Its symmetry is No. 160. The crystal system is trigonal.

Record 2
# K2MoS3O

An optimized crystal structure of K2MoS3O (meta-GGA r2SCAN, Materials Project). Values from VASP.

Quantum ESPRESSO input file:
```
&SYSTEM
  ibrav = 0, nat = 28, ntyp = 4
/
ATOMIC_SPECIES
S 32.06 S.upf
Mo 95.94 Mo.upf
O 16.00 O.upf
K 39.10 K.upf
CELL_PARAMETERS angstrom
7.133 0.000 0.000
0.000 9.085 0.000
0.000 0.000 11.256
ATOMIC_POSITIONS crystal
S 0.501 0.154 0.123
S 0.999 0.154 0.123
S 0.499 0.346 0.623
S 0.750 0.994 0.402
S 0.001 0.846 0.877
S 0.001 0.346 0.623
S 0.250 0.506 0.902
S 0.501 0.654 0.377
S 0.250 0.006 0.598
S 0.499 0.846 0.877
S 0.999 0.654 0.377
S 0.750 0.494 0.098
Mo 0.750 0.261 0.046
Mo 0.250 0.739 0.954
Mo 0.250 0.239 0.546
Mo 0.750 0.761 0.454
O 0.750 0.745 0.607
O 0.750 0.245 0.893
O 0.250 0.755 0.107
O 0.250 0.255 0.393
K 0.750 0.344 0.375
K 0.250 0.952 0.308
K 0.250 0.156 0.875
K 0.250 0.656 0.625
K 0.750 0.548 0.808
K 0.750 0.844 0.125
K 0.750 0.048 0.692
K 0.250 0.452 0.192
```

Its symmetry is No. 62. The crystal system is orthorhombic.

Record 3
# K3ScMo3O12

An optimized crystal structure of K3ScMo3O12 (meta-GGA r2SCAN, Materials Project). Values from VASP.

Quantum ESPRESSO input file:
```
&SYSTEM
  ibrav = 0, nat = 76, ntyp = 4
/
ATOMIC_SPECIES
O 16.00 O.upf
Mo 95.94 Mo.upf
K 39.10 K.upf
Sc 44.96 Sc.upf
CELL_PARAMETERS angstrom
-1.826 -7.158 -5.781
9.916 1.062 -4.447
5.072 -8.741 9.222
ATOMIC_POSITIONS crystal
O 0.777 0.015 0.750
O 0.095 0.376 0.536
O 0.656 0.250 0.250
O 0.905 0.876 0.964
O 0.223 0.985 0.250
O 0.309 0.386 0.115
O 0.905 0.624 0.036
O 0.344 0.750 0.750
O 0.389 0.429 0.579
O 0.611 0.929 0.921
O 0.389 0.071 0.421
O 0.776 0.114 0.021
O 0.777 0.485 0.250
O 0.927 0.205 0.647
O 0.224 0.886 0.521
O 0.927 0.295 0.147
O 0.611 0.571 0.079
O 0.611 0.571 0.421
O 0.691 0.614 0.615
O 0.224 0.886 0.979
O 0.095 0.124 0.464
O 0.776 0.386 0.521
O 0.073 0.795 0.147
O 0.073 0.705 0.853
O 0.344 0.750 0.250
O 0.389 0.429 0.921
O 0.927 0.295 0.353
O 0.927 0.205 0.853
O 0.656 0.250 0.750
O 0.309 0.114 0.615
O 0.389 0.071 0.079
O 0.223 0.515 0.750
O 0.309 0.386 0.385
O 0.691 0.614 0.885
O 0.073 0.795 0.353
O 0.776 0.386 0.979
O 0.073 0.705 0.647
O 0.095 0.376 0.964
O 0.224 0.614 0.479
O 0.905 0.624 0.464
O 0.691 0.886 0.115
O 0.224 0.614 0.021
O 0.691 0.886 0.385
O 0.309 0.114 0.885
O 0.776 0.114 0.479
O 0.095 0.124 0.036
O 0.611 0.929 0.579
O 0.905 0.876 0.536
Mo 0.252 0.452 0.495
Mo 0.252 0.048 0.995
Mo 0.748 0.952 0.005
Mo 0.252 0.048 0.505
Mo 0.183 0.669 0.750
Mo 0.817 0.169 0.750
Mo 0.748 0.548 0.505
Mo 0.817 0.331 0.250
Mo 0.252 0.452 0.005
Mo 0.183 0.831 0.250
Mo 0.748 0.548 0.995
Mo 0.748 0.952 0.495
K 0.818 0.775 0.750
K 0.474 0.513 0.250
K 0.541 0.250 0.500
K 0.459 0.750 0.500
K 0.474 0.987 0.750
K 0.182 0.275 0.750
K 0.459 0.750 0.000
K 0.818 0.725 0.250
K 0.182 0.225 0.250
K 0.526 0.487 0.750
K 0.541 0.250 0.000
K 0.526 0.013 0.250
Sc 0.065 0.750 0.000
Sc 0.935 0.250 0.500
Sc 0.935 0.250 0.000
Sc 0.065 0.750 0.500
```

Its symmetry is No. 57. The crystal system is orthorhombic.

Record 4
# K6U2Mo4O21

An optimized crystal structure of K6U2Mo4O21 (meta-GGA r2SCAN, Materials Project). Values from VASP.

Quantum ESPRESSO input file:
```
&SYSTEM
  ibrav = 0, nat = 33, ntyp = 4
/
ATOMIC_SPECIES
Mo 95.94 Mo.upf
O 16.00 O.upf
K 39.10 K.upf
U 238.03 U.upf
CELL_PARAMETERS angstrom
7.818 -0.023 0.012
1.320 7.792 -0.050
1.061 3.094 9.836
ATOMIC_POSITIONS crystal
Mo 0.255 0.635 0.032
Mo 0.745 0.365 0.968
Mo 0.850 0.847 0.392
Mo 0.150 0.153 0.608
O 0.239 0.273 0.695
O 0.643 0.407 0.120
O 0.539 0.375 0.397
O 0.073 0.798 0.376
O 0.217 0.915 0.682
O 0.461 0.625 0.603
O 0.783 0.085 0.318
O 0.444 0.069 0.218
O 0.357 0.593 0.880
O 0.967 0.300 0.989
O 0.761 0.727 0.305
O 0.722 0.567 0.829
O 0.033 0.700 0.011
O 0.347 0.801 0.069
O 0.278 0.433 0.171
O 0.653 0.199 0.931
O 0.500 0.000 0.500
O 0.927 0.202 0.624
O 0.206 0.231 0.429
O 0.794 0.769 0.571
O 0.556 0.931 0.782
K 0.070 0.607 0.723
K 0.594 0.276 0.661
K 0.298 0.162 0.972
K 0.702 0.838 0.028
K 0.406 0.724 0.339
K 0.930 0.393 0.277
U 0.486 0.217 0.314
U 0.514 0.783 0.686
```

Its symmetry is No. 2. The crystal system is triclinic.

Record 5
# K2Mo3Se18

An optimized crystal structure of K2Mo3Se18 (meta-GGA r2SCAN, Materials Project). Values from VASP.

Quantum ESPRESSO input file:
```
&SYSTEM
  ibrav = 0, nat = 46, ntyp = 3
/
ATOMIC_SPECIES
Se 78.96 Se.upf
K 39.10 K.upf
Mo 95.94 Mo.upf
CELL_PARAMETERS angstrom
-4.563 -3.505 -11.469
-8.625 -3.817 4.598
-8.244 6.793 1.204
ATOMIC_POSITIONS crystal
Se 0.068 0.828 0.897
Se 0.220 0.106 0.928
Se 0.496 0.763 0.015
Se 0.534 0.435 0.704
Se 0.311 0.721 0.029
Se 0.389 0.092 0.851
Se 0.592 0.112 0.683
Se 0.162 0.105 0.297
Se 0.576 0.548 0.165
Se 0.996 0.237 0.985
Se 0.898 0.097 0.335
Se 0.842 0.911 0.721
Se 0.252 0.370 0.388
Se 0.092 0.888 0.317
Se 0.238 0.813 0.640
Se 0.738 0.187 0.360
Se 0.912 0.738 0.505
Se 0.752 0.630 0.612
Se 0.342 0.089 0.279
Se 0.850 0.532 0.328
Se 0.616 0.560 0.374
Se 0.350 0.468 0.672
Se 0.720 0.894 0.072
Se 0.889 0.908 0.149
Se 0.034 0.565 0.296
Se 0.811 0.279 0.971
Se 0.071 0.587 0.070
Se 0.568 0.172 0.103
Se 0.110 0.103 0.636
Se 0.076 0.452 0.835
Se 0.398 0.903 0.665
Se 0.116 0.440 0.626
Se 0.412 0.262 0.495
Se 0.571 0.413 0.930
Se 0.610 0.897 0.364
Se 0.662 0.895 0.703
K 0.313 0.415 0.005
K 0.344 0.735 0.336
K 0.844 0.265 0.664
K 0.813 0.585 0.995
Mo 0.761 0.757 0.339
Mo 0.769 0.911 0.489
Mo 0.269 0.089 0.511
Mo 0.749 0.052 0.202
Mo 0.249 0.948 0.798
Mo 0.261 0.243 0.661
```

Its symmetry is No. 4. The crystal system is monoclinic.

Record 6
# KMo3Se3

An optimized crystal structure of KMo3Se3 (meta-GGA r2SCAN, Materials Project). Values from VASP.

Quantum ESPRESSO input file:
```
&SYSTEM
  ibrav = 0, nat = 14, ntyp = 3
/
ATOMIC_SPECIES
K 39.10 K.upf
Se 78.96 Se.upf
Mo 95.94 Mo.upf
CELL_PARAMETERS angstrom
4.600 -7.968 0.000
4.600 7.968 0.000
0.000 0.000 4.492
ATOMIC_POSITIONS crystal
K 0.667 0.333 0.750
K 0.333 0.667 0.250
Se 0.357 0.060 0.250
Se 0.940 0.296 0.250
Se 0.704 0.643 0.250
Se 0.060 0.704 0.750
Se 0.296 0.357 0.750
Se 0.643 0.940 0.750
Mo 0.149 0.178 0.250
Mo 0.851 0.822 0.750
Mo 0.030 0.851 0.250
Mo 0.178 0.030 0.750
Mo 0.970 0.149 0.750
Mo 0.822 0.970 0.250
```

Its symmetry is No. 176. The crystal system is hexagonal.

Record 7
# KPtN

An optimized crystal structure of KPtN (meta-GGA r2SCAN, Materials Project). Values from VASP.

Quantum ESPRESSO input file:
```
&SYSTEM
  ibrav = 0, nat = 6, ntyp = 3
/
ATOMIC_SPECIES
Pt 195.08 Pt.upf
N 14.01 N.upf
K 39.10 K.upf
CELL_PARAMETERS angstrom
10.425 0.882 0.643
-1.527 3.244 -0.853
-3.056 3.409 2.501
ATOMIC_POSITIONS crystal
Pt 0.216 0.501 0.391
Pt 0.716 0.499 0.892
N 0.716 0.999 0.892
N 0.216 0.001 0.890
K 0.465 0.501 0.141
K 0.966 0.499 0.642
```

Its symmetry is No. 6. The crystal system is monoclinic.

Record 8
# KNaNdNbO5

An optimized crystal structure of KNaNdNbO5 (meta-GGA r2SCAN, Materials Project). Values from VASP.

Quantum ESPRESSO input file:
```
&SYSTEM
  ibrav = 0, nat = 18, ntyp = 5
/
ATOMIC_SPECIES
Na 22.99 Na.upf
Nb 92.91 Nb.upf
Nd 144.24 Nd.upf
O 16.00 O.upf
K 39.10 K.upf
CELL_PARAMETERS angstrom
5.743 0.000 0.000
0.000 5.743 0.000
0.000 0.000 8.267
ATOMIC_POSITIONS crystal
Na 0.500 0.000 0.758
Na 0.000 0.500 0.242
Nb 0.000 0.500 0.744
Nb 0.500 0.000 0.256
Nd 0.500 0.500 0.500
Nd 0.000 0.000 0.500
O 0.268 0.232 0.328
O 0.732 0.768 0.328
O 0.732 0.232 0.328
O 0.768 0.268 0.672
O 0.268 0.768 0.328
O 0.768 0.732 0.672
O 0.232 0.268 0.672
O 0.232 0.732 0.672
O 0.500 0.000 0.031
O 0.000 0.500 0.969
K 0.000 0.000 0.000
K 0.500 0.500 0.000
```

Its symmetry is No. 129. The crystal system is tetragonal.

no.,total moment (μB per formula unit),calculated formation energy (eV per atom)
1,0.0,-2.151
2,0.0,-1.403
3,0.0,-2.493
4,0.0,-2.557
5,0.0,-0.479
6,0.0,-0.838
7,0.0,-0.211
8,0.0,-2.862